KMg6B | PBE-GGA | relaxed

Properties
**E_tot**: -29.90 eV per cell
**M_tot**: 0.00 μB per formula unit
**Calculated volume**: 24.75 A^3/atom
**Energy relative to the lowest polymorph listed for this composition**: 0 meV per atom

Cell and atoms, written as CIF:
```
data_KMg6B
_chemical_formula_sum 'K2 Mg12 B2'
_symmetry_space_group_name_H-M 'P 1'
_symmetry_Int_Tables_number 1
_cell_length_a 3.107
_cell_length_b 6.489
_cell_length_c 19.639
_cell_angle_alpha 90.00
_cell_angle_beta 90.00
_cell_angle_gamma 90.00
loop_
_symmetry_equiv_pos_as_xyz
'x,y,z'
loop_
_atom_site_label
_atom_site_type_symbol
_atom_site_fract_x
_atom_site_fract_y
_atom_site_fract_z
_atom_site_occupancy
Mg1 Mg 0.000 0.759 0.599 1
Mg2 Mg 0.000 0.741 0.099 1
Mg3 Mg 0.000 0.241 0.599 1
Mg4 Mg 0.500 0.000 0.208 1
Mg5 Mg 0.500 0.750 0.458 1
Mg6 Mg 0.500 0.750 0.958 1
K1 K 0.000 0.500 0.283 1
B1 B 0.500 0.000 0.550 1
B2 B 0.500 0.500 0.050 1
Mg7 Mg 0.000 0.500 0.845 1
Mg8 Mg 0.500 0.250 0.458 1
Mg9 Mg 0.500 0.500 0.708 1
Mg10 Mg 0.500 0.250 0.958 1
Mg11 Mg 0.000 0.000 0.345 1
Mg12 Mg 0.000 0.259 0.099 1
K2 K 0.000 0.000 0.783 1
```